Entry 1:
VASP calculation (PBE-GGA) on Rb2LiGaF6 after structural relaxation.

```
Rb2LiGaF6
1.0
0.000 4.165 4.165
4.165 0.000 4.165
4.165 4.165 0.000
Rb Li Ga F
2 1 1 6
direct
0.250 0.250 0.250 Rb
0.750 0.750 0.750 Rb
0.500 0.500 0.500 Li
0.000 0.000 0.000 Ga
0.234 0.234 0.766 F
0.234 0.766 0.766 F
0.766 0.766 0.234 F
0.234 0.766 0.234 F
0.766 0.234 0.766 F
0.766 0.234 0.234 F
```

Computed properties:
Magnetization = 0.00 μB/f.u.
Formation energy from the elements = -3076 meV per atom
DFT total energy = -4.6371 eV/atom

=====

Entry 2:
VASP calculation (PBE-GGA) on Rb2LiGaF6 after structural relaxation.

```
Rb2LiGaF6
1.0
0.324 6.569 7.892
-1.666 1.372 10.044
4.175 2.183 9.130
Rb Li Ga F
4 2 2 12
direct
0.717 0.717 0.717 Rb
0.283 0.283 0.283 Rb
0.872 0.872 0.872 Rb
0.128 0.128 0.128 Rb
0.404 0.404 0.404 Li
0.596 0.596 0.596 Li
0.500 0.500 0.500 Ga
0.000 0.000 0.000 Ga
0.193 0.728 0.193 F
0.807 0.272 0.807 F
0.193 0.193 0.728 F
0.728 0.193 0.193 F
0.807 0.807 0.272 F
0.272 0.807 0.807 F
0.165 0.607 0.607 F
0.607 0.607 0.165 F
0.607 0.165 0.607 F
0.393 0.835 0.393 F
0.835 0.393 0.393 F
0.393 0.393 0.835 F
```

Computed properties:
Magnetization = 0.00 μB/f.u.
Formation energy from the elements = -3090 meV per atom
DFT total energy = -4.6509 eV/atom

=====

Entry 3:
VASP calculation (PBE-GGA) on SrLiGaF6 after structural relaxation.

```
SrLiGaF6
1.0
2.616 -4.531 0.000
2.616 4.531 0.000
0.000 0.000 10.468
Sr Li Ga F
2 2 2 12
direct
0.000 0.000 0.500 Sr
0.000 0.000 0.000 Sr
0.333 0.667 0.750 Li
0.667 0.333 0.250 Li
0.667 0.333 0.750 Ga
0.333 0.667 0.250 Ga
0.641 0.019 0.645 F
0.359 0.981 0.355 F
0.981 0.622 0.645 F
0.641 0.622 0.855 F
0.019 0.378 0.355 F
0.359 0.378 0.145 F
0.378 0.359 0.645 F
0.981 0.359 0.855 F
0.622 0.641 0.355 F
0.019 0.641 0.145 F
0.378 0.019 0.855 F
0.622 0.981 0.145 F
```

Computed properties:
Magnetization = 0.00 μB/f.u.
Formation energy from the elements = -3470 meV per atom
DFT total energy = -5.1745 eV/atom